Record 1
This record from Materials Project describes a relaxed Tb2S3O20 crystal. The functional is PBE-GGA.

## Properties
Symmetry: C2/c
Spin magnetization, Bohr magnetons per cell: 31.98

Cell: 7.485 7.485 18.355 Å, 82.27 82.27 52.75°
Atoms (fractional coordinates):
Tb  0.812  0.848  0.893
Tb  0.188  0.152  0.107
Tb  0.152  0.188  0.607
Tb  0.848  0.812  0.393
S  0.757  0.813  0.590
S  0.243  0.187  0.410
S  0.187  0.243  0.910
S  0.813  0.757  0.090
S  0.710  0.290  0.750
S  0.290  0.710  0.250
O  0.349  0.273  0.683
O  0.651  0.727  0.317
O  0.727  0.651  0.817
O  0.273  0.349  0.183
O  0.304  0.392  0.572
O  0.696  0.608  0.428
O  0.608  0.696  0.928
O  0.392  0.304  0.072
O  0.524  0.884  0.612
O  0.476  0.116  0.388
O  0.116  0.476  0.888
O  0.884  0.524  0.112
O  0.768  0.905  0.514
O  0.232  0.095  0.486
O  0.095  0.232  0.986
O  0.905  0.768  0.014
O  0.539  0.389  0.694
O  0.461  0.611  0.306
O  0.611  0.461  0.806
O  0.389  0.539  0.194
O  0.814  0.892  0.646
O  0.186  0.108  0.354
O  0.108  0.186  0.854
O  0.892  0.814  0.146
O  0.438  0.092  0.909
O  0.562  0.908  0.091
O  0.908  0.562  0.591
O  0.092  0.438  0.409
O  0.110  0.878  0.626
O  0.890  0.122  0.374
O  0.122  0.890  0.874
O  0.878  0.110  0.126
O  0.802  0.136  0.933
O  0.198  0.864  0.067
O  0.864  0.198  0.567
O  0.136  0.802  0.433
O  0.756  0.078  0.787
O  0.244  0.922  0.213
O  0.922  0.244  0.713
O  0.078  0.756  0.287

---

Record 2
This record from Materials Project describes a relaxed LaC crystal. The functional is PBE-GGA.

## Properties
Symmetry: P-6m2
Spin magnetization, Bohr magnetons per cell: 0.74

Cell: 3.737 3.737 3.259 Å, 90.00 90.00 120.00°
Atoms (fractional coordinates):
La  0.000  0.000  0.000
C  0.667  0.333  0.500

---

Record 3
This record from Materials Project describes a relaxed Er2CuB4O10 crystal. The functional is PBE-GGA.

## Properties
Symmetry: P2_1/c
Spin magnetization, Bohr magnetons per cell: 2.00

Cell: 7.269 4.593 9.345 Å, 89.61 90.00 90.00°
Atoms (fractional coordinates):
Er  0.396  0.004  0.835
Er  0.896  0.996  0.665
Er  0.104  0.004  0.335
Er  0.604  0.996  0.165
Cu  0.000  0.000  0.000
Cu  0.500  0.000  0.500
B  0.268  0.539  0.080
B  0.768  0.461  0.420
B  0.732  0.461  0.920
B  0.232  0.539  0.580
B  0.598  0.528  0.662
B  0.098  0.472  0.838
B  0.902  0.528  0.162
B  0.402  0.472  0.338
O  0.223  0.359  0.952
O  0.723  0.641  0.548
O  0.835  0.658  0.301
O  0.335  0.342  0.199
O  0.165  0.342  0.699
O  0.665  0.658  0.801
O  0.088  0.677  0.138
O  0.588  0.323  0.362
O  0.912  0.323  0.862
O  0.412  0.677  0.638
O  0.911  0.214  0.166
O  0.411  0.786  0.334
O  0.089  0.786  0.834
O  0.589  0.214  0.666
O  0.111  0.771  0.542
O  0.611  0.229  0.958
O  0.889  0.229  0.458
O  0.389  0.771  0.042
O  0.777  0.641  0.048
O  0.277  0.359  0.452

---

Record 4
This record from Materials Project describes a relaxed U2Br2N crystal. The functional is PBE-GGA.

## Properties
Symmetry: P4/mmm
Spin magnetization, Bohr magnetons per cell: 4.99

Cell: 3.561 3.561 13.382 Å, 90.00 90.00 90.00°
Atoms (fractional coordinates):
U  0.500  0.500  0.149
U  0.500  0.500  0.851
Br  0.500  0.500  0.654
Br  0.500  0.500  0.346
N  0.500  0.500  0.000

---

Record 5
This record from Materials Project describes a relaxed MgPd5 crystal. The functional is PBE-GGA.

## Properties
Symmetry: P-62m

Cell: 4.866 4.866 4.583 Å, 90.00 90.00 120.00°
Atoms (fractional coordinates):
Mg  0.000  0.000  0.500
Pd  0.665  0.000  0.000
Pd  0.667  0.333  0.500
Pd  0.335  0.335  0.000
Pd  0.000  0.665  0.000
Pd  0.333  0.667  0.500

---

Record 6
This record from Materials Project describes a relaxed LaTcN3 crystal. The functional is PBE-GGA.

## Properties
Symmetry: R-3c
Spin magnetization, Bohr magnetons per cell: 0.00

Cell: 5.579 5.579 5.579 Å, 60.50 60.50 60.50°
Atoms (fractional coordinates):
La  0.750  0.750  0.750
La  0.250  0.250  0.250
Tc  0.000  0.000  0.000
Tc  0.500  0.500  0.500
N  0.703  0.250  0.797
N  0.297  0.750  0.203
N  0.750  0.203  0.297
N  0.797  0.703  0.250
N  0.203  0.297  0.750
N  0.250  0.797  0.703

---

Record 7
This record from Materials Project describes a relaxed CdRe2C2N4O10 crystal. The functional is PBE-GGA.

## Properties
Symmetry: P2_1/c
Spin magnetization, Bohr magnetons per cell: 0.00

Cell: 10.704 8.743 15.703 Å, 88.49 90.00 90.00°
Atoms (fractional coordinates):
Cd  0.091  0.137  0.238
Cd  0.909  0.863  0.762
Cd  0.591  0.363  0.762
Cd  0.409  0.637  0.238
Re  0.312  0.320  0.086
Re  0.688  0.680  0.914
Re  0.812  0.180  0.914
Re  0.188  0.820  0.086
Re  0.409  0.023  0.349
Re  0.591  0.977  0.651
Re  0.909  0.477  0.651
Re  0.091  0.523  0.349
C  0.828  0.287  0.184
C  0.172  0.713  0.816
C  0.328  0.213  0.816
C  0.672  0.787  0.184
C  0.059  0.063  0.607
C  0.941  0.937  0.393
C  0.559  0.437  0.393
C  0.441  0.563  0.607
N  0.726  0.372  0.160
N  0.274  0.628  0.840
N  0.226  0.128  0.840
N  0.774  0.872  0.160
N  0.326  0.508  0.581
N  0.674  0.492  0.419
N  0.826  0.992  0.419
N  0.174  0.008  0.581
N  0.838  0.419  0.134
N  0.162  0.581  0.866
N  0.338  0.081  0.866
N  0.662  0.919  0.134
N  0.122  0.122  0.537
N  0.878  0.878  0.463
N  0.622  0.378  0.463
N  0.378  0.622  0.537
O  0.160  0.291  0.129
O  0.840  0.709  0.871
O  0.660  0.209  0.871
O  0.340  0.791  0.129
O  0.292  0.098  0.280
O  0.708  0.902  0.720
O  0.792  0.402  0.720
O  0.208  0.598  0.280
O  0.372  0.067  0.453
O  0.628  0.933  0.547
O  0.872  0.433  0.547
O  0.128  0.567  0.453
O  0.403  0.437  0.153
O  0.597  0.563  0.847
O  0.903  0.063  0.847
O  0.097  0.937  0.153
O  0.052  0.394  0.678
O  0.948  0.606  0.322
O  0.552  0.106  0.322
O  0.448  0.894  0.678
O  0.804  0.099  0.016
O  0.196  0.901  0.984
O  0.304  0.401  0.984
O  0.696  0.599  0.016
O  0.873  0.179  0.223
O  0.127  0.821  0.777
O  0.373  0.321  0.777
O  0.627  0.679  0.223
O  0.386  0.145  0.079
O  0.614  0.855  0.921
O  0.886  0.355  0.921
O  0.114  0.645  0.079
O  0.080  0.321  0.340
O  0.920  0.679  0.660
O  0.580  0.179  0.660
O  0.420  0.821  0.340
O  0.468  0.443  0.348
O  0.532  0.557  0.652
O  0.968  0.057  0.652
O  0.032  0.943  0.348

---

Record 8
This record from Materials Project describes a relaxed SrGeP2O8 crystal. The functional is PBE-GGA.

## Properties
Excess energy over the best structure of this formula in the dataset, meV per atom: 0
Symmetry: C2/c
Spin magnetization, Bohr magnetons per cell: 0.00

Cell: 8.660 8.660 8.021 Å, 65.51 65.51 34.47°
Atoms (fractional coordinates):
Sr  0.803  0.197  0.250
Sr  0.197  0.803  0.750
Ge  0.000  0.500  0.000
Ge  0.500  0.000  0.500
P  0.596  0.111  0.760
P  0.889  0.404  0.740
P  0.404  0.889  0.240
P  0.111  0.596  0.260
O  0.812  0.861  0.898
O  0.139  0.188  0.602
O  0.188  0.139  0.102
O  0.861  0.812  0.398
O  0.330  0.368  0.866
O  0.632  0.670  0.634
O  0.670  0.632  0.134
O  0.368  0.330  0.366
O  0.513  0.039  0.702
O  0.961  0.487  0.798
O  0.487  0.961  0.298
O  0.039  0.513  0.202
O  0.720  0.175  0.607
O  0.825  0.280  0.893
O  0.280  0.825  0.393
O  0.175  0.720  0.107

---

Record 9
This record from Materials Project describes a relaxed ScMn6Sn6 crystal. The functional is PBE-GGA.

## Properties
Symmetry: P6/mmm

Cell: 5.411 5.411 8.961 Å, 90.00 90.00 120.00°
Atoms (fractional coordinates):
Sc  0.000  0.000  0.000
Mn  0.500  0.000  0.752
Mn  0.500  0.500  0.752
Mn  0.000  0.500  0.752
Mn  0.500  0.000  0.248
Mn  0.500  0.500  0.248
Mn  0.000  0.500  0.248
Sn  0.000  0.000  0.673
Sn  0.000  0.000  0.327
Sn  0.333  0.667  0.500
Sn  0.667  0.333  0.500
Sn  0.333  0.667  0.000
Sn  0.667  0.333  0.000

---

Record 10
This record from Materials Project describes a relaxed CaCd4Tc4O12 crystal. The functional is PBE-GGA.

## Properties
Excess energy over the best structure of this formula in the dataset, meV per atom: 0
Symmetry: P1
Spin magnetization, Bohr magnetons per cell: 0.00

Cell: 5.460 5.415 9.331 Å, 81.38 98.61 92.55°
Atoms (fractional coordinates):
Ca  0.088  0.921  0.154
Cd  0.441  0.540  0.323
Cd  0.795  0.224  0.313
Cd  0.490  0.470  0.755
Cd  0.026  0.019  0.747
Tc  0.046  0.447  0.967
Tc  0.457  0.030  0.536
Tc  0.953  0.565  0.536
Tc  0.564  0.918  0.971
O  0.792  0.659  0.984
O  0.717  0.285  0.621
O  0.198  0.281  0.551
O  0.298  0.691  0.020
O  0.315  0.205  0.929
O  0.190  0.805  0.416
O  0.711  0.812  0.520
O  0.829  0.161  0.941
O  0.628  0.918  0.188
O  0.110  0.328  0.190
O  0.460  0.882  0.748
O  0.048  0.601  0.750

---

Record 11
This record from Materials Project describes a relaxed AgAsS16N16O8F6 crystal. The functional is PBE-GGA.

## Properties
Symmetry: P-1
Spin magnetization, Bohr magnetons per cell: 0.00

Cell: 11.803 12.400 12.985 Å, 113.44 96.70 88.61°
Atoms (fractional coordinates):
Ag  0.176  0.627  0.630
Ag  0.824  0.373  0.370
As  0.805  0.371  0.879
As  0.195  0.629  0.121
S  0.326  0.469  0.388
S  0.674  0.531  0.612
S  0.302  0.290  0.146
S  0.698  0.710  0.854
S  0.048  0.313  0.148
S  0.952  0.687  0.852
S  0.123  0.854  0.511
S  0.877  0.146  0.489
S  0.430  0.858  0.387
S  0.570  0.142  0.613
S  0.237  0.027  0.441
S  0.763  0.973  0.559
S  0.340  0.414  0.700
S  0.660  0.586  0.300
S  0.416  0.363  0.892
S  0.584  0.637  0.108
S  0.211  0.199  0.792
S  0.789  0.801  0.208
S  0.373  0.757  0.878
S  0.627  0.243  0.122
S  0.425  0.948  0.113
S  0.575  0.052  0.887
S  0.170  0.977  0.110
S  0.830  0.023  0.890
S  0.120  0.345  0.377
S  0.880  0.655  0.623
S  0.359  0.829  0.577
S  0.641  0.171  0.423
S  0.105  0.388  0.723
S  0.895  0.612  0.277
S  0.195  0.918  0.877
S  0.805  0.082  0.123
N  0.205  0.463  0.430
N  0.795  0.537  0.570
N  0.349  0.381  0.269
N  0.651  0.619  0.731
N  0.168  0.275  0.109
N  0.832  0.725  0.891
N  0.034  0.364  0.278
N  0.966  0.636  0.722
N  0.225  0.780  0.538
N  0.775  0.220  0.462
N  0.148  0.960  0.480
N  0.852  0.040  0.520
N  0.353  0.967  0.401
N  0.647  0.033  0.599
N  0.413  0.783  0.457
N  0.587  0.217  0.543
N  0.211  0.464  0.721
N  0.789  0.536  0.279
N  0.126  0.274  0.744
N  0.874  0.726  0.256
N  0.332  0.255  0.857
N  0.668  0.745  0.143
N  0.403  0.447  0.828
N  0.597  0.553  0.172
N  0.249  0.786  0.834
N  0.751  0.214  0.166
N  0.435  0.843  0.994
N  0.565  0.157  0.006
N  0.301  0.990  0.149
N  0.699  0.010  0.851
N  0.125  0.923  0.980
N  0.875  0.077  0.020
O  0.049  0.356  0.464
O  0.951  0.644  0.536
O  0.185  0.240  0.331
O  0.815  0.760  0.669
O  0.410  0.760  0.637
O  0.590  0.240  0.363
O  0.364  0.956  0.632
O  0.636  0.044  0.368
O  0.392  0.489  0.656
O  0.608  0.511  0.344
O  0.335  0.288  0.636
O  0.665  0.712  0.364
O  0.110  0.915  0.787
O  0.890  0.085  0.213
O  0.284  0.008  0.919
O  0.716  0.992  0.081
F  0.802  0.505  0.999
F  0.198  0.495  0.001
F  0.948  0.350  0.924
F  0.052  0.650  0.076
F  0.808  0.237  0.757
F  0.192  0.763  0.243
F  0.662  0.391  0.833
F  0.338  0.609  0.167
F  0.852  0.448  0.800
F  0.148  0.552  0.200
F  0.756  0.292  0.954
F  0.244  0.708  0.046

---

Record 12
This record from Materials Project describes a relaxed LiMg6Sb crystal. The functional is PBE-GGA.

## Properties
Excess energy over the best structure of this formula in the dataset, meV per atom: 2
Spin magnetization, Bohr magnetons per cell: 0.00

Cell: 5.212 6.230 11.127 Å, 90.00 90.00 90.00°
Atoms (fractional coordinates):
Li  0.000  0.000  0.167
Li  0.000  0.500  0.667
Mg  0.000  0.249  0.416
Mg  0.000  0.751  0.416
Mg  0.500  0.755  0.083
Mg  0.500  0.245  0.083
Mg  0.500  0.000  0.333
Mg  0.500  0.500  0.336
Mg  0.000  0.749  0.916
Mg  0.000  0.251  0.916
Mg  0.500  0.255  0.583
Mg  0.500  0.745  0.583
Mg  0.500  0.500  0.833
Mg  0.500  0.000  0.836
Sb  0.000  0.500  0.166
Sb  0.000  0.000  0.666

---

no.,formation energy from the elements (eV/atom)
1,-1.1499
2,0.5674
3,-3.0288
4,-0.1521
5,-0.3343
6,-0.7810
7,-1.0204
8,-2.7945
9,-0.1293
10,-1.5670
11,-0.4021
12,-0.1207